# ErGa2, optimized geometry, DFT meta-GGA r2SCAN
# electronic total energy: -19.66 eV per atom
# calculated volume: 60 Å³/cell
# crystal system: hexagonal
data_ErGa2
_cell_length_a 4.1459
_cell_length_b 4.1459
_cell_length_c 4.0641
_cell_angle_alpha 90.00
_cell_angle_beta 90.00
_cell_angle_gamma 120.00
_symmetry_space_group_name_H-M 'P 6/m m m'
_symmetry_Int_Tables_number 191
_symmetry_space_group_name_Hall '-P 6 2'
loop_
_atom_site_label
_atom_site_fract_x
_atom_site_fract_y
_atom_site_fract_z
Er1 0.0000 0.0000 0.0000
Ga1 0.3333 0.6667 0.5000

# Dy2S2O, optimized geometry, DFT meta-GGA r2SCAN
# electronic total energy: -20.17 eV per atom
# calculated volume: 383 Å³/cell
# crystal system: monoclinic
data_Dy2S2O
_cell_length_a 8.257
_cell_length_b 6.876
_cell_length_c 6.847
_cell_angle_alpha 90.00
_cell_angle_beta 99.42
_cell_angle_gamma 90.00
_symmetry_space_group_name_H-M 'P 1 21/c 1'
_symmetry_Int_Tables_number 14
loop_
_symmetry_equiv_pos_as_xyz
'x,y,z'
'-x,-y,-z'
'-x,y+1/2,-z+1/2'
'x,-y+1/2,z+1/2'
loop_
_atom_site_label
_atom_site_fract_x
_atom_site_fract_y
_atom_site_fract_z
Dy1 0.076 0.144 0.322
Dy2 0.361 0.553 0.250
S1 0.180 0.634 0.576
S2 0.424 0.223 0.470
O1 0.117 0.087 0.649

# Li2Ta3S6, optimized geometry, DFT meta-GGA r2SCAN
# electronic total energy: -19.47 eV per atom
# calculated volume: 375 Å³/cell
# crystal system: hexagonal
data_Li2Ta3S6
_cell_length_a 5.7971
_cell_length_b 5.7971
_cell_length_c 12.9017
_cell_angle_alpha 90.00
_cell_angle_beta 90.00
_cell_angle_gamma 120.00
_symmetry_space_group_name_H-M 'P 63 2 2'
_symmetry_Int_Tables_number 182
_symmetry_space_group_name_Hall 'P 6c 2c'
loop_
_atom_site_label
_atom_site_fract_x
_atom_site_fract_y
_atom_site_fract_z
Li1 0.0000 0.0000 0.2500
Li2 0.3333 0.6667 0.2500
Ta1 0.0000 0.0000 0.0000
Ta2 0.3333 0.6667 0.5008
S1 0.9996 0.3337 0.1206

# NiB3W3, optimized geometry, DFT meta-GGA r2SCAN
# electronic total energy: -27.30 eV per atom
# calculated volume: 288 Å³/cell
# crystal system: orthorhombic
data_NiB3W3
_cell_length_a 3.193
_cell_length_b 8.407
_cell_length_c 10.738
_cell_angle_alpha 90.00
_cell_angle_beta 90.00
_cell_angle_gamma 90.00
_symmetry_space_group_name_H-M 'C m c m'
_symmetry_Int_Tables_number 63
_symmetry_space_group_name_Hall '-C 2c 2'
loop_
_atom_site_label
_atom_site_fract_x
_atom_site_fract_y
_atom_site_fract_z
Ni1 0.000 0.000 0.000
B1 0.000 0.291 0.250
B2 0.000 0.412 0.104
W1 0.000 0.002 0.750
W2 0.000 0.288 0.608

# Ca5P8, optimized geometry, DFT meta-GGA r2SCAN
# electronic total energy: -9.30 eV per atom
# calculated volume: 586 Å³/cell
# crystal system: monoclinic
data_Ca5P8
_cell_length_a 6.915
_cell_length_b 11.901
_cell_length_c 7.496
_cell_angle_alpha 90.00
_cell_angle_beta 108.15
_cell_angle_gamma 90.00
_symmetry_space_group_name_H-M 'C 1 2/m 1'
_symmetry_Int_Tables_number 12
loop_
_symmetry_equiv_pos_as_xyz
'x,y,z'
'-x,-y,-z'
'-x,y,-z'
'x,-y,z'
'x+1/2,y+1/2,z'
'-x+1/2,-y+1/2,-z'
'-x+1/2,y+1/2,-z'
'x+1/2,-y+1/2,z'
loop_
_atom_site_label
_atom_site_fract_x
_atom_site_fract_y
_atom_site_fract_z
Ca1 0.000 0.000 0.000
Ca2 0.000 0.165 0.500
Ca3 0.000 0.325 0.000
P1 0.052 0.500 0.663
P2 0.221 0.500 0.258
P3 0.231 0.348 0.740

# SmGa2Co, optimized geometry, DFT meta-GGA r2SCAN
# electronic total energy: -16.99 eV per atom
# calculated volume: 294 Å³/cell
# crystal system: orthorhombic
data_SmGa2Co
_cell_length_a 4.104
_cell_length_b 17.530
_cell_length_c 4.090
_cell_angle_alpha 90.00
_cell_angle_beta 90.00
_cell_angle_gamma 90.00
_symmetry_space_group_name_H-M 'C m m m'
_symmetry_Int_Tables_number 65
_symmetry_space_group_name_Hall '-C 2 2'
loop_
_atom_site_label
_atom_site_fract_x
_atom_site_fract_y
_atom_site_fract_z
Sm1 0.000 0.143 0.000
Ga1 0.000 0.000 0.500
Ga2 0.000 0.292 0.500
Ga3 0.000 0.500 0.000
Co1 0.000 0.428 0.500